{
  "formula": "Na6NbGa3Si2P4O24",
  "functional": "GGA-PBE",
  "state": "optimized geometry",
  "delta_e_f_ev_per_atom": -2.66,
  "magnetic_moment_mub_per_cell": 0.001,
  "e_tot_ev_per_atom": -6.7030,
  "lattice": [[-1.184, -9.667, -11.790], [5.280, -5.772, 4.217], [-5.466, 0.155, 6.983]],
  "species": ["Na", "Na", "Na", "Na", "Na", "Na", "Na", "Na", "Na", "Na", "Na", "Na", "Nb", "Nb", "Ga", "Ga", "Ga", "Ga", "Ga", "Ga", "Si", "Si", "Si", "Si", "P", "P", "P", "P", "P", "P", "P", "P", "O", "O", "O", "O", "O", "O", "O", "O", "O", "O", "O", "O", "O", "O", "O", "O", "O", "O", "O", "O", "O", "O", "O", "O", "O", "O", "O", "O", "O", "O", "O", "O", "O", "O", "O", "O", "O", "O", "O", "O", "O", "O", "O", "O", "O", "O", "O", "O"],
  "frac_coords": [[0.250, 0.750, 0.998], [0.746, 0.752, 0.486], [0.750, 0.250, 0.998], [0.246, 0.252, 0.486], [0.496, 0.100, 0.735], [0.505, 0.885, 0.257], [0.996, 0.600, 0.735], [0.005, 0.385, 0.257], [0.190, 0.931, 0.284], [0.808, 0.073, 0.711], [0.690, 0.431, 0.284], [0.308, 0.573, 0.711], [0.895, 0.748, 0.937], [0.395, 0.248, 0.937], [0.105, 0.755, 0.560], [0.895, 0.244, 0.439], [0.102, 0.254, 0.056], [0.605, 0.255, 0.560], [0.395, 0.744, 0.439], [0.602, 0.754, 0.056], [0.353, 0.890, 0.750], [0.653, 0.098, 0.255], [0.853, 0.390, 0.750], [0.153, 0.598, 0.255], [0.006, 0.963, 0.754], [0.000, 0.044, 0.255], [0.506, 0.463, 0.754], [0.500, 0.544, 0.255], [0.641, 0.893, 0.741], [0.355, 0.108, 0.262], [0.141, 0.393, 0.741], [0.855, 0.608, 0.262], [0.150, 0.568, 0.743], [0.847, 0.578, 0.764], [0.851, 0.434, 0.249], [0.152, 0.417, 0.237], [0.650, 0.068, 0.743], [0.347, 0.078, 0.764], [0.351, 0.934, 0.249], [0.652, 0.917, 0.237], [0.434, 0.563, 0.587], [0.574, 0.552, 0.935], [0.564, 0.439, 0.419], [0.432, 0.447, 0.074], [0.934, 0.063, 0.587], [0.074, 0.052, 0.935], [0.064, 0.939, 0.419], [0.932, 0.947, 0.074], [0.252, 0.813, 0.737], [0.742, 0.831, 0.755], [0.746, 0.190, 0.257], [0.255, 0.168, 0.243], [0.752, 0.313, 0.737], [0.242, 0.331, 0.755], [0.246, 0.690, 0.257], [0.755, 0.668, 0.243], [0.357, 0.872, 0.571], [0.642, 0.852, 0.910], [0.645, 0.133, 0.428], [0.358, 0.160, 0.094], [0.857, 0.372, 0.571], [0.142, 0.352, 0.910], [0.145, 0.633, 0.428], [0.858, 0.660, 0.094], [0.459, 0.825, 0.937], [0.543, 0.832, 0.559], [0.538, 0.173, 0.072], [0.456, 0.167, 0.439], [0.959, 0.325, 0.937], [0.043, 0.332, 0.559], [0.038, 0.673, 0.072], [0.956, 0.667, 0.439], [0.076, 0.847, 0.740], [0.921, 0.863, 0.761], [0.922, 0.151, 0.260], [0.083, 0.138, 0.247], [0.576, 0.347, 0.740], [0.421, 0.363, 0.761], [0.422, 0.651, 0.260], [0.583, 0.638, 0.247]]
}